Ta2NiS5 | meta-GGA r2SCAN | optimized geometry

Cell and atoms, written as POSCAR:
```
Ta2NiS5
1.0
3.430 0.000 0.000
-1.715 6.335 0.000
0.000 0.000 15.162
Ta Ni S
4 2 10
direct
0.222 0.444 0.609
0.778 0.556 0.391
0.778 0.556 0.109
0.222 0.444 0.891
0.301 0.602 0.250
0.699 0.398 0.750
0.686 0.372 0.250
0.314 0.628 0.750
0.153 0.307 0.450
0.847 0.693 0.550
0.847 0.693 0.950
0.153 0.307 0.050
0.590 0.181 0.864
0.410 0.819 0.136
0.410 0.819 0.364
0.590 0.181 0.636
```

Energy of formation, eV/atom: -1.0482